# 1
VASP calculation (GGA-PBE) on KNdZrNbO6 after structural relaxation.

Properties
- magnetization (μB per atom) = 0.000
- space-group type = No. 216
- formation energy (eV/f.u.) = -31.56
- V (Å³/cell) = 139.87

Structure (CIF):
```
data_KNdZrNbO6
_space_group_name_H-M_alt 'P 1'
_space_group_IT_number 1
_space_group_name_Hall 'P 1'
_cell_length_a 5.827
_cell_length_b 5.827
_cell_length_c 5.827
_cell_angle_alpha 60.00
_cell_angle_beta 60.00
_cell_angle_gamma 60.00
loop_
_atom_site_label
_atom_site_fract_x
_atom_site_fract_y
_atom_site_fract_z
_atom_site_occupancy
O1 0.754 0.246 0.246 1
O2 0.754 0.246 0.754 1
O3 0.246 0.246 0.754 1
Nd1 0.750 0.750 0.750 1
Zr1 0.500 0.500 0.500 1
K1 0.250 0.250 0.250 1
O4 0.246 0.754 0.754 1
O5 0.754 0.754 0.246 1
Nb1 0.000 0.000 0.000 1
O6 0.246 0.754 0.246 1
```

# 2
VASP calculation (GGA-PBE) on KNbO3 after structural relaxation.

Properties
- largest piezoelectric modulus (C/m2) = 6.0
- space-group type = No. 160
- formation energy (eV/f.u.) = -14.28
- V (Å³/cell) = 68.42

Structure (CIF):
```
data_KNbO3
_space_group_name_H-M_alt 'P 1'
_space_group_IT_number 1
_space_group_name_Hall 'P 1'
_cell_length_a 4.090
_cell_length_b 4.090
_cell_length_c 4.090
_cell_angle_alpha 89.80
_cell_angle_beta 89.80
_cell_angle_gamma 89.80
loop_
_atom_site_label
_atom_site_fract_x
_atom_site_fract_y
_atom_site_fract_z
_atom_site_occupancy
O1 0.470 0.470 0.966 1
K1 0.987 0.987 0.987 1
O2 0.470 0.966 0.470 1
O3 0.966 0.470 0.470 1
Nb1 0.500 0.500 0.500 1
```

# 3
VASP calculation (GGA-PBE) on K6Nb11O30 after structural relaxation.

Properties
- magnetization (μB per atom) = 0.011
- space-group type = No. 38
- formation energy (eV/f.u.) = -135.20
- energy above the most stable polymorph in this dataset (kJ/mol of formula units) = 180
- V (Å³/cell) = 672.69

Structure (CIF):
```
data_K6Nb11O30
_space_group_name_H-M_alt 'P 1'
_space_group_IT_number 1
_space_group_name_Hall 'P 1'
_cell_length_a 13.030
_cell_length_b 13.030
_cell_length_c 3.963
_cell_angle_alpha 90.00
_cell_angle_beta 90.00
_cell_angle_gamma 90.41
loop_
_atom_site_label
_atom_site_fract_x
_atom_site_fract_y
_atom_site_fract_z
_atom_site_occupancy
O1 0.711 0.289 0.000 1
O2 0.484 0.649 0.000 1
O3 0.351 0.516 0.000 1
O4 0.931 0.359 0.000 1
O5 0.494 0.345 0.000 1
K1 0.682 0.673 0.500 1
K2 0.165 0.835 0.500 1
O6 0.574 0.209 0.500 1
O7 0.562 0.857 0.000 1
O8 0.641 0.069 0.000 1
Nb1 0.516 0.484 0.000 1
Nb2 0.069 0.277 0.000 1
O9 0.358 0.928 0.000 1
O10 0.998 0.002 0.500 1
O11 0.231 0.580 0.500 1
O12 0.702 0.921 0.500 1
O13 0.420 0.769 0.500 1
Nb3 0.010 0.990 0.000 1
Nb4 0.429 0.807 0.000 1
Nb5 0.723 0.931 0.000 1
O14 0.072 0.642 0.000 1
O15 0.295 0.705 0.000 1
Nb6 0.193 0.571 0.000 1
Nb7 0.380 0.620 0.500 1
O16 0.143 0.438 0.000 1
O17 0.655 0.506 0.000 1
O18 0.079 0.298 0.500 1
O19 0.001 0.844 0.000 1
O20 0.430 0.141 0.000 1
O21 0.214 0.216 0.000 1
O22 0.997 0.156 0.000 1
O23 0.791 0.426 0.500 1
O24 0.844 0.003 0.000 1
O25 0.859 0.570 0.000 1
K3 0.327 0.318 0.500 1
K4 0.830 0.170 0.500 1
Nb8 0.582 0.204 0.000 1
Nb9 0.796 0.418 0.000 1
O26 0.293 0.074 0.500 1
Nb10 0.912 0.711 0.000 1
O27 0.156 0.999 0.000 1
O28 0.926 0.707 0.500 1
K5 0.991 0.498 0.500 1
Nb11 0.289 0.088 0.000 1
K6 0.502 0.009 0.500 1
O29 0.784 0.786 0.000 1
O30 0.489 0.511 0.500 1
```

# 4
VASP calculation (GGA-PBE) on K4Nb6O17 after structural relaxation.

Properties
- magnetization (μB per atom) = 0.000
- space-group type = No. 33
- formation energy (eV/f.u.) = -79.00
- V (Å³/cell) = 1767.04

Structure (CIF):
```
data_K4Nb6O17
_space_group_name_H-M_alt 'P 1'
_space_group_IT_number 1
_space_group_name_Hall 'P 1'
_cell_length_a 6.604
_cell_length_b 7.939
_cell_length_c 33.703
_cell_angle_alpha 90.00
_cell_angle_beta 90.00
_cell_angle_gamma 90.00
loop_
_atom_site_label
_atom_site_fract_x
_atom_site_fract_y
_atom_site_fract_z
_atom_site_occupancy
Nb1 0.295 0.004 0.674 1
K1 0.152 0.754 0.281 1
O1 0.308 0.998 0.932 1
K2 0.848 0.254 0.719 1
O2 0.784 0.758 0.120 1
K3 0.781 0.760 0.019 1
O3 0.712 0.982 0.775 1
Nb2 0.293 0.509 0.674 1
O4 0.191 0.521 0.432 1
O5 0.410 0.007 0.321 1
K4 0.652 0.254 0.219 1
O6 0.006 0.010 0.351 1
O7 0.212 0.482 0.725 1
O8 0.715 0.758 0.343 1
O9 0.714 0.532 0.775 1
Nb3 0.318 0.760 0.951 1
O10 0.875 0.262 0.497 1
O11 0.910 0.507 0.179 1
O12 0.215 0.258 0.157 1
Nb4 0.861 0.758 0.906 1
O13 0.197 0.758 0.880 1
O14 0.285 0.258 0.657 1
O15 0.088 0.496 0.108 1
O16 0.003 0.505 0.352 1
O17 0.913 0.520 0.892 1
O18 0.890 0.760 0.430 1
O19 0.691 0.021 0.068 1
Nb5 0.764 0.514 0.126 1
O20 0.413 0.020 0.608 1
Nb6 0.207 0.509 0.174 1
O21 0.697 0.258 0.620 1
O22 0.288 0.482 0.225 1
O23 0.497 0.505 0.852 1
O24 0.515 0.259 0.545 1
O25 0.214 0.032 0.725 1
O26 0.309 0.521 0.932 1
Nb7 0.264 0.014 0.374 1
O27 0.912 0.996 0.892 1
O28 0.286 0.032 0.225 1
Nb8 0.205 0.004 0.174 1
K5 0.219 0.260 0.981 1
O29 0.592 0.008 0.679 1
Nb9 0.738 0.001 0.625 1
O30 0.227 0.757 0.169 1
K6 0.169 0.756 0.583 1
O31 0.494 0.010 0.851 1
O32 0.786 0.532 0.275 1
O33 0.625 0.262 0.997 1
O34 0.092 0.508 0.821 1
O35 0.303 0.758 0.380 1
O36 0.727 0.257 0.331 1
K7 0.153 0.255 0.282 1
K8 0.669 0.256 0.917 1
O37 0.015 0.759 0.955 1
Nb10 0.818 0.260 0.549 1
O38 0.809 0.021 0.568 1
K9 0.831 0.256 0.417 1
O39 0.803 0.258 0.120 1
O40 0.412 0.496 0.608 1
Nb11 0.361 0.258 0.594 1
O41 0.788 0.982 0.275 1
O42 0.692 0.498 0.068 1
O43 0.590 0.507 0.679 1
O44 0.506 0.510 0.149 1
O45 0.985 0.259 0.045 1
O46 0.390 0.260 0.070 1
K10 0.719 0.760 0.519 1
Nb12 0.795 0.504 0.826 1
O47 0.503 0.005 0.148 1
K11 0.331 0.756 0.083 1
Nb13 0.705 0.504 0.326 1
O48 0.408 0.508 0.321 1
O49 0.192 0.998 0.432 1
K12 0.347 0.255 0.782 1
O50 0.587 0.520 0.392 1
K13 0.653 0.755 0.218 1
O51 0.216 0.258 0.880 1
O52 0.785 0.758 0.843 1
O53 0.908 0.008 0.179 1
O54 0.716 0.758 0.620 1
Nb14 0.793 0.009 0.826 1
O55 0.997 0.005 0.648 1
Nb15 0.139 0.258 0.094 1
Nb16 0.762 0.001 0.125 1
O56 0.125 0.762 0.503 1
O57 0.090 0.007 0.821 1
O58 0.284 0.258 0.380 1
O59 0.588 0.996 0.392 1
Nb17 0.736 0.514 0.626 1
O60 0.375 0.762 0.003 1
O61 0.773 0.257 0.831 1
Nb18 0.236 0.014 0.874 1
O62 0.485 0.759 0.455 1
O63 0.273 0.757 0.669 1
Nb19 0.238 0.501 0.875 1
O64 0.110 0.260 0.570 1
K14 0.847 0.755 0.718 1
K15 0.281 0.260 0.481 1
Nb20 0.262 0.501 0.375 1
O65 0.808 0.498 0.568 1
Nb21 0.639 0.758 0.406 1
Nb22 0.182 0.760 0.451 1
Nb23 0.707 0.009 0.326 1
O66 0.610 0.760 0.930 1
Nb24 0.682 0.260 0.049 1
O67 0.994 0.510 0.649 1
O68 0.087 0.020 0.108 1
K16 0.348 0.754 0.781 1
```

# 5
VASP calculation (GGA-PBE) on K2Nb2O5 after structural relaxation.

Properties
- magnetization (μB per atom) = 0.000
- space-group type = No. 46
- formation energy (eV/f.u.) = -22.44
- V (Å³/cell) = 276.81

Structure (CIF):
```
data_K2Nb2O5
_space_group_name_H-M_alt 'P 1'
_space_group_IT_number 1
_space_group_name_Hall 'P 1'
_cell_length_a 9.050
_cell_length_b 9.050
_cell_length_c 9.050
_cell_angle_alpha 142.36
_cell_angle_beta 141.99
_cell_angle_gamma 54.56
loop_
_atom_site_label
_atom_site_fract_x
_atom_site_fract_y
_atom_site_fract_z
_atom_site_occupancy
K1 0.110 0.589 0.476 1
O1 0.250 0.751 0.997 1
O2 0.246 0.249 0.499 1
K2 0.888 0.411 0.522 1
O3 0.128 0.135 0.999 1
K3 0.610 0.134 0.522 1
O4 0.592 0.112 0.204 1
O5 0.092 0.888 0.479 1
Nb1 0.994 0.000 0.994 1
O6 0.863 0.865 0.992 1
O7 0.750 0.753 0.499 1
O8 0.363 0.371 0.999 1
Nb2 0.765 0.829 0.094 1
K4 0.388 0.866 0.476 1
O9 0.746 0.247 0.997 1
O10 0.628 0.629 0.992 1
Nb3 0.265 0.171 0.937 1
Nb4 0.494 0.500 0.994 1
```

# 6
VASP calculation (GGA-PBE) on KNbO3 after structural relaxation.

Properties
- largest piezoelectric modulus (C/m2) = 4.0
- space-group type = No. 38
- formation energy (eV/f.u.) = -14.28
- V (Å³/cell) = 68.55

Structure (CIF):
```
data_KNbO3
_space_group_name_H-M_alt 'P 1'
_space_group_IT_number 1
_space_group_name_Hall 'P 1'
_cell_length_a 4.131
_cell_length_b 4.131
_cell_length_c 4.018
_cell_angle_alpha 90.00
_cell_angle_beta 90.00
_cell_angle_gamma 90.35
loop_
_atom_site_label
_atom_site_fract_x
_atom_site_fract_y
_atom_site_fract_z
_atom_site_occupancy
Nb1 0.005 0.995 0.000 1
O1 0.964 0.036 0.500 1
O2 0.972 0.538 0.000 1
O3 0.462 0.028 0.000 1
K1 0.490 0.510 0.500 1
```

# 7
VASP calculation (GGA-PBE) on KNbO3 after structural relaxation.

Properties
- space-group type = No. 221
- formation energy (eV/f.u.) = -14.22
- V (Å³/cell) = 66.80

Structure (CIF):
```
data_KNbO3
_space_group_name_H-M_alt 'P 1'
_space_group_IT_number 1
_space_group_name_Hall 'P 1'
_cell_length_a 4.057
_cell_length_b 4.057
_cell_length_c 4.057
_cell_angle_alpha 90.00
_cell_angle_beta 90.00
_cell_angle_gamma 90.00
loop_
_atom_site_label
_atom_site_fract_x
_atom_site_fract_y
_atom_site_fract_z
_atom_site_occupancy
Nb1 0.500 0.500 0.500 1
K1 0.000 0.000 0.000 1
O1 0.500 0.000 0.500 1
O2 0.000 0.500 0.500 1
O3 0.500 0.500 0.000 1
```

# 8
VASP calculation (GGA-PBE) on K2NbO6 after structural relaxation.

Properties
- magnetization (μB per atom) = 0.556
- space-group type = No. 44
- formation energy (eV/f.u.) = -12.73
- V (Å³/cell) = 157.48

Structure (CIF):
```
data_K2NbO6
_space_group_name_H-M_alt 'P 1'
_space_group_IT_number 1
_space_group_name_Hall 'P 1'
_cell_length_a 6.062
_cell_length_b 6.062
_cell_length_c 6.062
_cell_angle_alpha 120.33
_cell_angle_beta 119.71
_cell_angle_gamma 89.97
loop_
_atom_site_label
_atom_site_fract_x
_atom_site_fract_y
_atom_site_fract_z
_atom_site_occupancy
K1 0.271 0.750 0.522 1
O1 0.306 0.269 0.037 1
Nb1 0.513 0.500 0.013 1
O2 0.296 0.734 0.030 1
O3 0.296 0.266 0.562 1
O4 0.759 0.727 0.485 1
O5 0.767 0.731 0.037 1
K2 0.772 0.250 0.522 1
O6 0.759 0.273 0.032 1
```

# 9
VASP calculation (GGA-PBE) on KNb3O8 after structural relaxation.

Properties
- space-group type = No. 63
- formation energy (eV/f.u.) = -35.86
- V (Å³/cell) = 380.92

Structure (CIF):
```
data_KNb3O8
_space_group_name_H-M_alt 'P 1'
_space_group_IT_number 1
_space_group_name_Hall 'P 1'
_cell_length_a 11.046
_cell_length_b 11.046
_cell_length_c 9.105
_cell_angle_alpha 90.00
_cell_angle_beta 90.00
_cell_angle_gamma 159.95
loop_
_atom_site_label
_atom_site_fract_x
_atom_site_fract_y
_atom_site_fract_z
_atom_site_occupancy
O1 0.715 0.285 0.750 1
O2 0.431 0.569 0.564 1
O3 0.413 0.587 0.250 1
O4 0.569 0.431 0.436 1
Nb1 0.368 0.632 0.059 1
Nb2 0.368 0.632 0.441 1
Nb3 0.243 0.757 0.750 1
O5 0.157 0.843 0.592 1
Nb4 0.757 0.243 0.250 1
O6 0.843 0.157 0.408 1
O7 0.431 0.569 0.936 1
K1 0.983 0.017 0.750 1
O8 0.587 0.413 0.750 1
Nb5 0.632 0.368 0.559 1
K2 0.017 0.983 0.250 1
O9 0.157 0.843 0.908 1
O10 0.704 0.296 0.094 1
O11 0.569 0.431 0.064 1
O12 0.296 0.704 0.594 1
Nb6 0.632 0.368 0.941 1
O13 0.285 0.715 0.250 1
O14 0.704 0.296 0.406 1
O15 0.296 0.704 0.906 1
O16 0.843 0.157 0.092 1
```

# 10
VASP calculation (GGA-PBE) on KNb8O14 after structural relaxation.

Properties
- space-group type = No. 55
- formation energy (eV/f.u.) = -63.53
- V (Å³/cell) = 590.56

Structure (CIF):
```
data_KNb8O14
_space_group_name_H-M_alt 'P 1'
_space_group_IT_number 1
_space_group_name_Hall 'P 1'
_cell_length_a 5.990
_cell_length_b 9.487
_cell_length_c 10.393
_cell_angle_alpha 90.00
_cell_angle_beta 90.00
_cell_angle_gamma 90.00
loop_
_atom_site_label
_atom_site_fract_x
_atom_site_fract_y
_atom_site_fract_z
_atom_site_occupancy
O1 0.750 0.995 0.252 1
O2 0.750 0.005 0.748 1
O3 0.247 0.753 0.411 1
O4 0.000 0.233 0.823 1
Nb1 0.500 0.879 0.834 1
Nb2 0.735 0.873 0.076 1
Nb3 0.735 0.127 0.924 1
O5 0.000 0.500 0.500 1
O6 0.250 0.505 0.752 1
O7 0.000 0.733 0.677 1
O8 0.500 0.746 0.157 1
Nb4 0.500 0.621 0.334 1
O9 0.000 0.000 0.500 1
Nb5 0.000 0.613 0.838 1
Nb6 0.265 0.873 0.076 1
K1 0.500 0.500 0.000 1
Nb7 0.735 0.373 0.424 1
O10 0.247 0.747 0.911 1
Nb8 0.500 0.121 0.166 1
K2 0.500 0.000 0.500 1
O11 0.500 0.754 0.657 1
O12 0.247 0.247 0.589 1
O13 0.500 0.254 0.843 1
O14 0.753 0.253 0.089 1
O15 0.250 0.495 0.248 1
Nb9 0.000 0.113 0.662 1
O16 0.000 0.000 0.000 1
Nb10 0.265 0.127 0.924 1
Nb11 0.265 0.627 0.576 1
O17 0.000 0.267 0.323 1
Nb12 0.735 0.627 0.576 1
Nb13 0.500 0.379 0.666 1
Nb14 0.000 0.887 0.338 1
O18 0.753 0.747 0.911 1
O19 0.750 0.505 0.752 1
O20 0.753 0.753 0.411 1
O21 0.750 0.495 0.248 1
O22 0.247 0.253 0.089 1
O23 0.753 0.247 0.589 1
O24 0.000 0.500 0.000 1
O25 0.250 0.995 0.252 1
Nb15 0.265 0.373 0.424 1
O26 0.500 0.246 0.343 1
O27 0.250 0.005 0.748 1
Nb16 0.000 0.387 0.162 1
O28 0.000 0.767 0.177 1
```